Here is a relaxed ZnH12S2N4O8 crystal from the Materials Project. Energies are from PBE.

Values from the calculation:
For the MP2020-corrected energy, the calculation gives -5.452 eV per atom. Its mass density is 1.784 g/cm3. As for the space-group type: Pna2_1. Its volume is 11.2 A^3/atom. Its formation enthalpy at 0 K is -24.029 eV/f.u. As for the total DFT energy (no corrections): -143.5 eV/f.u.

Unit cell a=10.778 b=13.448 c=8.365 alpha=90.00 beta=90.00 gamma=90.00
Positions (direct):
H1 0.559 0.389 0.382
Zn1 0.218 0.601 0.996
H2 0.342 0.238 0.699
O1 0.310 0.473 0.423
N1 0.353 0.162 0.699
H3 0.607 0.067 0.002
O2 0.323 0.694 0.463
O3 0.512 0.611 0.366
H4 0.941 0.889 0.882
H5 0.641 0.764 0.794
S1 0.431 0.633 0.501
S2 0.069 0.133 0.001
N2 0.600 0.364 0.486
N3 0.301 0.951 0.496
O4 0.177 0.194 0.963
O5 0.507 0.343 0.151
O6 0.140 0.378 0.336
N4 0.132 0.661 0.804
O7 0.696 0.135 0.620
H6 0.538 0.854 0.804
H7 0.194 0.638 0.298
H8 0.240 0.419 0.094
H9 0.141 0.736 0.794
H10 0.945 0.353 0.715
O8 0.304 0.865 0.120
O9 0.012 0.889 0.366
Zn2 0.282 0.101 0.496
O10 0.488 0.389 0.866
O11 0.126 0.021 0.063
O12 0.993 0.843 0.651
H11 0.441 0.611 0.882
H12 0.059 0.111 0.382
H13 0.593 0.289 0.485
N5 0.632 0.839 0.804
H14 0.445 0.147 0.715
H15 0.658 0.762 0.199
N6 0.100 0.136 0.486
H16 0.165 0.631 0.700
O13 0.007 0.157 0.151
H17 0.806 0.362 0.798
H18 0.264 0.919 0.396
H19 0.736 0.081 0.896
H20 0.393 0.933 0.502
O14 0.493 0.657 0.651
H21 0.555 0.853 0.215
H22 0.835 0.369 0.200
S3 0.673 0.070 0.484
H23 0.450 0.609 0.081
H24 0.760 0.581 0.594
H25 0.359 0.236 0.294
H26 0.550 0.391 0.581
O15 0.988 0.111 0.866
H27 0.158 0.738 0.199
S4 0.827 0.570 0.984
H28 0.407 0.711 0.985
O16 0.677 0.306 0.963
N7 0.199 0.451 0.996
N8 0.801 0.549 0.496
O17 0.690 0.527 0.923
H29 0.962 0.354 0.304
H30 0.260 0.919 0.594
N9 0.699 0.049 0.996
H31 0.950 0.891 0.081
N10 0.853 0.338 0.699
H32 0.038 0.646 0.804
Zn3 0.782 0.399 0.496
S5 0.569 0.367 0.001
O18 0.196 0.365 0.620
O19 0.190 0.973 0.923
O20 0.874 0.979 0.563
O21 0.095 0.516 0.521
O22 0.810 0.027 0.423
H33 0.236 0.419 0.896
H34 0.050 0.109 0.581
N11 0.647 0.838 0.199
H35 0.694 0.862 0.298
H36 0.093 0.211 0.485
N12 0.868 0.339 0.304
N13 0.400 0.636 0.986
N14 0.147 0.662 0.199
S6 0.173 0.430 0.484
S7 0.327 0.930 0.984
N15 0.368 0.161 0.304
H37 0.842 0.262 0.699
O23 0.595 0.984 0.521
O24 0.626 0.479 0.063
H38 0.907 0.789 0.985
H39 0.665 0.869 0.700
Zn4 0.718 0.899 0.996
H40 0.893 0.567 0.502
H41 0.055 0.647 0.215
H42 0.306 0.138 0.798
O25 0.905 0.484 0.021
O26 0.823 0.806 0.463
N16 0.900 0.864 0.986
H43 0.335 0.131 0.200
H44 0.859 0.264 0.294
H45 0.462 0.146 0.304
O27 0.360 0.878 0.836
O28 0.640 0.122 0.336
O29 0.804 0.635 0.120
O30 0.405 0.016 0.021
H46 0.740 0.081 0.094
H47 0.107 0.433 0.002
O31 0.860 0.622 0.836
S8 0.931 0.867 0.501
O32 0.374 0.521 0.563
H48 0.764 0.581 0.396

=====

Here is a relaxed MgTiSnO4 crystal from the Materials Project. Energies are from PBE.

Values from the calculation:
For the MP2020-corrected energy, the calculation gives -7.481 eV per atom. Its mass density is 4.326 g/cm3. As for the space-group type: P1. Its volume is 14.0 A^3/atom. Its formation enthalpy at 0 K is -19.068 eV/f.u. As for the total DFT energy (no corrections): -49.6 eV/f.u. The value obtained for the energy above the most stable polymorph in this dataset is 0.0 meV per atom.

Unit cell a=7.987 b=8.633 c=8.066 alpha=157.66 beta=152.43 gamma=35.04
Positions (direct):
O1 0.498 0.383 0.667
O2 0.146 0.196 0.872
O3 0.326 0.252 0.745
Sn1 0.046 0.161 0.190
Mg1 0.256 0.738 0.323
Ti1 0.632 0.243 0.440
O4 0.702 0.722 0.850

=====

Here is a relaxed LiP3PbO9 crystal from the Materials Project. Energies are from PBE.

Values from the calculation:
For the MP2020-corrected energy, the calculation gives -7.300 eV per atom. Its mass density is 4.057 g/cm3. As for the space-group type: P-1. Its volume is 13.2 A^3/atom. Its formation enthalpy at 0 K is -35.812 eV/f.u. As for the total DFT energy (no corrections): -96.0 eV/f.u.

Unit cell a=6.868 b=7.362 c=7.530 alpha=83.64 beta=79.48 gamma=82.01
Positions (direct):
Pb1 0.975 0.769 0.848
O1 0.930 0.435 0.840
O2 0.175 0.884 0.093
O3 0.678 0.670 0.384
O4 0.070 0.565 0.160
P1 0.849 0.282 0.771
O5 0.650 0.351 0.691
O6 0.375 0.252 0.948
O7 0.350 0.649 0.309
Li1 0.542 0.173 0.170
O8 0.642 0.412 0.205
O9 0.265 0.990 0.688
P2 0.585 0.615 0.218
O10 0.825 0.116 0.907
P3 0.767 0.843 0.440
O11 0.735 0.010 0.312
P4 0.151 0.718 0.229
O12 0.707 0.850 0.641
Li2 0.458 0.827 0.830
O13 0.008 0.773 0.416
O14 0.358 0.588 0.795
Pb2 0.025 0.231 0.152
O15 0.625 0.748 0.052
O16 0.293 0.150 0.359
O17 0.322 0.330 0.616
O18 0.992 0.227 0.584
P5 0.233 0.157 0.560
P6 0.415 0.385 0.782